# 1
Ta8VC4S8: optimized geometry, PBE.

Lattice parameters (Å, degrees): 9.3961 9.3961 9.3961 41.34 41.34 41.34
Fractional positions:
Ta: 0.8776 0.8776 0.8776
Ta: 0.8796 0.3777 0.3777
Ta: 0.3777 0.8796 0.3777
Ta: 0.3777 0.3777 0.8796
Ta: 0.1224 0.1224 0.1224
Ta: 0.1204 0.6223 0.6223
Ta: 0.6223 0.1204 0.6223
Ta: 0.6223 0.6223 0.1204
V: 0.0000 0.0000 0.0000
C: 0.0000 0.5000 0.0000
C: 0.0000 0.0000 0.5000
C: 0.5000 0.5000 0.5000
C: 0.5000 0.0000 0.0000
S: 0.7254 0.7254 0.7254
S: 0.7219 0.2251 0.2251
S: 0.2251 0.7219 0.2251
S: 0.2251 0.2251 0.7219
S: 0.2746 0.2746 0.2746
S: 0.2781 0.7749 0.7749
S: 0.7749 0.2781 0.7749
S: 0.7749 0.7749 0.2781

Values from the calculation:
Energy: -9.20 eV per atom
Energy of formation: -1.111 eV/atom

***

# 2
Ti2CS: optimized geometry, PBE.

Lattice parameters (Å, degrees): 3.2047 3.2047 11.2635 90.00 90.00 120.00
Fractional positions:
Ti: 0.3333 0.6667 0.4006
Ti: 0.6667 0.3333 0.9006
Ti: 0.6667 0.3333 0.5994
Ti: 0.3333 0.6667 0.0994
C: 0.0000 0.0000 0.5000
C: 0.0000 0.0000 0.0000
S: 0.6667 0.3333 0.2500
S: 0.3333 0.6667 0.7500

Values from the calculation:
Energy: -8.54 eV per atom
Energy of formation: -1.378 eV/atom

***

# 3
Tl2CS3: optimized geometry, PBE.

Lattice parameters (Å, degrees): 6.6048 6.6048 9.5173 70.68 70.68 82.74
Fractional positions:
Tl: 0.6148 0.1041 0.6237
Tl: 0.3852 0.8959 0.3763
Tl: 0.1041 0.6148 0.1237
Tl: 0.8959 0.3852 0.8763
C: 0.9166 0.0834 0.2500
C: 0.0834 0.9166 0.7500
S: 0.1534 0.1248 0.0985
S: 0.7190 0.2810 0.2500
S: 0.8466 0.8752 0.9015
S: 0.8752 0.8466 0.4015
S: 0.1248 0.1534 0.5985
S: 0.2810 0.7190 0.7500

Values from the calculation:
Energy: -4.49 eV per atom
Energy of formation: -0.346 eV/atom

***

# 4
Tl2CS3: optimized geometry, PBE.

Lattice parameters (Å, degrees): 6.5762 6.5762 9.5248 66.94 66.94 62.17
Fractional positions:
Tl: 0.5472 0.1497 0.6202
Tl: 0.4528 0.8503 0.3798
Tl: 0.1497 0.5472 0.1202
Tl: 0.8503 0.4528 0.8798
C: 0.9397 0.0603 0.2500
C: 0.0603 0.9397 0.7500
S: 0.1838 0.0474 0.0905
S: 0.6858 0.3142 0.2500
S: 0.8162 0.9526 0.9095
S: 0.9526 0.8162 0.4095
S: 0.0474 0.1838 0.5905
S: 0.3142 0.6858 0.7500

Values from the calculation:
Energy: -4.48 eV per atom
Energy of formation: -0.335 eV/atom

***

# 5
U2CS: optimized geometry, PBE.

Lattice parameters (Å, degrees): 6.5378 6.5378 6.5378 32.60 32.60 32.60
Fractional positions:
U: 0.2616 0.2616 0.2616
U: 0.7384 0.7384 0.7384
C: 0.0000 0.0000 0.0000
S: 0.5000 0.5000 0.5000

Values from the calculation:
Energy: -9.74 eV per atom
Energy of formation: -0.878 eV/atom

***

# 6
Sc2C3: optimized geometry, PBE.

Lattice parameters (Å, degrees): 6.6711 6.6711 6.6711 109.47 109.47 109.47
Fractional positions:
Sc: 0.5000 0.0000 0.5998
Sc: 0.0998 0.5000 0.0000
Sc: 0.4002 0.4002 0.4002
Sc: 0.0000 0.0998 0.5000
Sc: 0.9002 0.9002 0.9002
Sc: 0.0000 0.5998 0.5000
Sc: 0.5998 0.5000 0.0000
Sc: 0.5000 0.0000 0.0998
C: 0.7883 0.2500 0.0383
C: 0.9617 0.2500 0.2117
C: 0.7500 0.2883 0.5383
C: 0.2117 0.9617 0.2500
C: 0.2500 0.2117 0.9617
C: 0.2883 0.5383 0.7500
C: 0.7117 0.7500 0.4617
C: 0.0383 0.7883 0.2500
C: 0.5383 0.7500 0.2883
C: 0.7500 0.4617 0.7117
C: 0.2500 0.0383 0.7883
C: 0.4617 0.7117 0.7500

Values from the calculation:
Energy: -8.34 eV per atom
Energy of formation: -0.268 eV/atom

***

# 7
Sc3TlC: optimized geometry, PBE.

Lattice parameters (Å, degrees): 4.5580 4.5580 4.5580 90.00 90.00 90.00
Fractional positions:
Sc: 0.0000 0.5000 0.5000
Sc: 0.5000 0.5000 0.0000
Sc: 0.5000 0.0000 0.5000
Tl: 0.0000 0.0000 0.0000
C: 0.5000 0.5000 0.5000

Values from the calculation:
Energy: -6.74 eV per atom
Energy of formation: -0.622 eV/atom

***

# 8
Si8C3: optimized geometry, PBE.

Lattice parameters (Å, degrees): 5.1732 12.9360 11.5925 109.51 91.75 110.48
Fractional positions:
Si: 0.8232 0.9469 0.3018
Si: 0.1768 0.0531 0.6982
Si: 0.4227 0.9064 0.4125
Si: 0.5773 0.0936 0.5875
Si: 0.2622 0.7756 0.6244
Si: 0.7378 0.2244 0.3756
Si: 0.7694 0.7511 0.6112
Si: 0.2306 0.2489 0.3888
Si: 0.2273 0.5347 0.6697
Si: 0.7727 0.4653 0.3303
Si: 0.2402 0.6110 0.4228
Si: 0.7598 0.3890 0.5772
Si: 0.8999 0.7578 0.4080
Si: 0.1001 0.2422 0.5920
Si: 0.0594 0.7596 0.1681
Si: 0.9406 0.2404 0.8319
Si: 0.3031 0.0894 0.9129
Si: 0.6969 0.9106 0.0871
Si: 0.1883 0.8647 0.0299
Si: 0.8117 0.1352 0.9701
Si: 0.7039 0.6389 0.9919
Si: 0.2961 0.3611 0.0081
Si: 0.7003 0.3628 0.9318
Si: 0.2997 0.6372 0.0682
Si: 0.4653 0.4269 0.7194
Si: 0.5347 0.5731 0.2806
Si: 0.0546 0.5957 0.8614
Si: 0.9454 0.4043 0.1386
Si: 0.8613 0.8235 0.8319
Si: 0.1387 0.1765 0.1681
Si: 0.5246 0.9208 0.8196
Si: 0.4754 0.0792 0.1804
C: 0.0519 0.8662 0.3254
C: 0.9481 0.1338 0.6746
C: 0.2651 0.7712 0.4598
C: 0.7349 0.2288 0.5402
C: 0.3808 0.6440 0.5908
C: 0.6192 0.3560 0.4092
C: 0.2179 0.9351 0.9066
C: 0.7821 0.0649 0.0934
C: 0.9199 0.7185 0.8992
C: 0.0801 0.2815 0.1008
C: 0.7013 0.4865 0.8781
C: 0.2987 0.5135 0.1219

Values from the calculation:
Energy: -6.01 eV per atom
Energy of formation: 0.451 eV/atom

***

# 9
Si8C3: optimized geometry, PBE.

Lattice parameters (Å, degrees): 4.9425 12.2021 12.2996 60.96 79.62 89.59
Fractional positions:
Si: 0.8193 0.6892 0.9698
Si: 0.1807 0.3108 0.0302
Si: 0.4988 0.6040 0.9100
Si: 0.5012 0.3960 0.0900
Si: 0.5324 0.4001 0.8243
Si: 0.4676 0.5999 0.1757
Si: 0.1386 0.4382 0.6741
Si: 0.8614 0.5618 0.3259
Si: 0.7195 0.3873 0.5413
Si: 0.2805 0.6127 0.4587
Si: 0.7759 0.6119 0.6066
Si: 0.2241 0.3881 0.3934
Si: 0.1842 0.5916 0.7599
Si: 0.8158 0.4084 0.2401
Si: 0.2397 0.8310 0.7355
Si: 0.7603 0.1690 0.2645
Si: 0.2118 0.0985 0.0802
Si: 0.7882 0.9015 0.9198
Si: 0.3645 0.0025 0.8631
Si: 0.6355 0.9975 0.1369
Si: 0.0081 0.0214 0.6646
Si: 0.9919 0.9786 0.3354
Si: 0.3571 0.0578 0.4087
Si: 0.6429 0.9422 0.5913
Si: 0.8437 0.2096 0.4284
Si: 0.1563 0.7904 0.5716
Si: 0.4245 0.2206 0.5469
Si: 0.5755 0.7794 0.4531
Si: 0.1512 0.2154 0.7952
Si: 0.8488 0.7846 0.2048
Si: 0.7115 0.1953 0.9264
Si: 0.2885 0.8047 0.0736
C: 0.1461 0.6625 0.8795
C: 0.8539 0.3375 0.1205
C: 0.5746 0.5758 0.7700
C: 0.4254 0.4242 0.2300
C: 0.7558 0.4372 0.6593
C: 0.2442 0.5628 0.3407
C: 0.3775 0.1279 0.9130
C: 0.6225 0.8721 0.0870
C: 0.2262 0.1142 0.7147
C: 0.7738 0.8858 0.2853
C: 0.1584 0.1386 0.4883
C: 0.8416 0.8614 0.5117

Values from the calculation:
Energy: -5.97 eV per atom
Energy of formation: 0.497 eV/atom

***

# 10
SiC2: optimized geometry, PBE.

Lattice parameters (Å, degrees): 4.7862 4.7862 4.7862 90.00 90.00 90.00
Fractional positions:
Si: 0.5000 0.5000 0.0000
Si: 0.5000 0.0000 0.5000
Si: 0.0000 0.5000 0.5000
Si: 0.0000 0.0000 0.0000
C: 0.0822 0.9178 0.4178
C: 0.9178 0.4178 0.0822
C: 0.4178 0.0822 0.9178
C: 0.5822 0.5822 0.5822
C: 0.9178 0.0822 0.5822
C: 0.0822 0.5822 0.9178
C: 0.5822 0.9178 0.0822
C: 0.4178 0.4178 0.4178

Values from the calculation:
Energy: -7.12 eV per atom
Energy of formation: 0.846 eV/atom

***

# 11
SiC2: optimized geometry, PBE.

Lattice parameters (Å, degrees): 3.1858 3.1858 6.8803 90.00 90.00 90.00
Fractional positions:
Si: 0.0000 0.0000 0.7500
Si: 0.0000 0.0000 0.2500
C: 0.0000 0.5000 0.4008
C: 0.5000 0.0000 0.9008
C: 0.0000 0.5000 0.5992
C: 0.5000 0.0000 0.0992

Values from the calculation:
Energy: -7.53 eV per atom
Energy of formation: 0.427 eV/atom

***

# 12
Sm5Si3C: optimized geometry, PBE.

Lattice parameters (Å, degrees): 8.6584 8.6584 6.6005 90.00 90.00 120.00
Fractional positions:
Sm: 0.6667 0.3333 0.0000
Sm: 0.3333 0.6667 0.0000
Sm: 0.3333 0.6667 0.5000
Sm: 0.6667 0.3333 0.5000
Sm: 0.7754 0.7754 0.7500
Sm: 0.2246 0.0000 0.7500
Sm: 0.0000 0.2246 0.7500
Sm: 0.2246 0.2246 0.2500
Sm: 0.7754 0.0000 0.2500
Sm: 0.0000 0.7754 0.2500
Si: 0.4076 0.4076 0.7500
Si: 0.5924 0.0000 0.7500
Si: 0.0000 0.5924 0.7500
Si: 0.5924 0.5924 0.2500
Si: 0.4076 0.0000 0.2500
Si: 0.0000 0.4076 0.2500
C: 0.0000 0.0000 0.0000
C: 0.0000 0.0000 0.5000

Values from the calculation:
Energy: -5.97 eV per atom
Energy of formation: -0.513 eV/atom